[1]
{
  "formula": "KUVO6",
  "functional": "PBE+U",
  "state": "optimized geometry",
  "volume_a3_per_fu": 156,
  "polymorph_energy_mev_per_atom": 11,
  "delta_e_f_mev_per_atom": -2979.0,
  "dft_energy_ev_per_atom": -8.018,
  "sg": "No. 14",
  "lattice": [[-7.3150, -3.8011, -0.1754], [3.1461, -5.9413, -2.4552], [2.5708, -5.3654, 9.0606]],
  "species": ["K", "K", "K", "K", "U", "U", "U", "U", "V", "V", "V", "V", "O", "O", "O", "O", "O", "O", "O", "O", "O", "O", "O", "O", "O", "O", "O", "O", "O", "O", "O", "O", "O", "O", "O", "O"],
  "frac_coords": [[0.6807, 0.4699, 0.8262], [0.1807, 0.5301, 0.6738], [0.3193, 0.5301, 0.1738], [0.8193, 0.4699, 0.3262], [0.4954, 0.0095, 0.6785], [0.9954, 0.9905, 0.8215], [0.5046, 0.9905, 0.3215], [0.0046, 0.0095, 0.1785], [0.6425, 0.8811, 0.9744], [0.1425, 0.1189, 0.5256], [0.3575, 0.1189, 0.0256], [0.8575, 0.8811, 0.4744], [0.5624, 0.2604, 0.6430], [0.0624, 0.7396, 0.8570], [0.4376, 0.7396, 0.3570], [0.9376, 0.2604, 0.1430], [0.4353, 0.7546, 0.7137], [0.9353, 0.2454, 0.7863], [0.5647, 0.2454, 0.2863], [0.0647, 0.7546, 0.2137], [0.6088, 0.6489, 0.0240], [0.1088, 0.3511, 0.4760], [0.3912, 0.3511, 0.9760], [0.8912, 0.6489, 0.5240], [0.7197, 0.9038, 0.8088], [0.2197, 0.0962, 0.6912], [0.2803, 0.0962, 0.1912], [0.7803, 0.9038, 0.3088], [0.8439, 0.9428, 0.0172], [0.3439, 0.0572, 0.4828], [0.1561, 0.0572, 0.9828], [0.6561, 0.9428, 0.5172], [0.4591, 0.0211, 0.8908], [0.9591, 0.9789, 0.6092], [0.5409, 0.9789, 0.1092], [0.0409, 0.0211, 0.3908]]
}

[2]
{
  "formula": "ZnNi3P3O13",
  "functional": "PBE+U",
  "state": "optimized geometry",
  "volume_a3_per_fu": 236,
  "delta_e_f_mev_per_atom": -1894.6,
  "dft_energy_ev_per_atom": -6.025,
  "sg": "No. 11",
  "lattice": [[-0.1098, 6.1851, 0.7234], [-6.9101, -0.4282, 2.6122], [1.9860, -1.1518, 10.1498]],
  "species": ["Zn", "Zn", "Ni", "Ni", "Ni", "Ni", "Ni", "Ni", "P", "P", "P", "P", "P", "P", "O", "O", "O", "O", "O", "O", "O", "O", "O", "O", "O", "O", "O", "O", "O", "O", "O", "O", "O", "O", "O", "O", "O", "O", "O", "O"],
  "frac_coords": [[0.7500, 0.3715, 0.1481], [0.2500, 0.6285, 0.8519], [0.2500, 0.6392, 0.2045], [0.7500, 0.3608, 0.7955], [0.2500, 0.2361, 0.4428], [0.5000, 0.0000, 0.0000], [0.7500, 0.7639, 0.5572], [0.0000, 0.0000, 0.0000], [0.2500, 0.7932, 0.4842], [0.7500, 0.2068, 0.5158], [0.2500, 0.2639, 0.7653], [0.7500, 0.7361, 0.2347], [0.7500, 0.6849, 0.8755], [0.2500, 0.3151, 0.1245], [0.7500, 0.6297, 0.7380], [0.5594, 0.2398, 0.4190], [0.2500, 0.1997, 0.6349], [0.5374, 0.7870, 0.8926], [0.7500, 0.3517, 0.6052], [0.7500, 0.1262, 0.9041], [0.2500, 0.6483, 0.3948], [0.0374, 0.2130, 0.1074], [0.2500, 0.9849, 0.3993], [0.7500, 0.0151, 0.6007], [0.0630, 0.3950, 0.7897], [0.2500, 0.8738, 0.0959], [0.5630, 0.6050, 0.2103], [0.7500, 0.4897, 0.9618], [0.7500, 0.8003, 0.3651], [0.4626, 0.2130, 0.1074], [0.9406, 0.2398, 0.4190], [0.4406, 0.7602, 0.5810], [0.4370, 0.3950, 0.7897], [0.2500, 0.3703, 0.2620], [0.7500, 0.9083, 0.1240], [0.2500, 0.0917, 0.8760], [0.9370, 0.6050, 0.2103], [0.9626, 0.7870, 0.8926], [0.0594, 0.7602, 0.5810], [0.2500, 0.5103, 0.0382]]
}

[3]
{
  "formula": "NaSi2W2O5",
  "functional": "PBE+U",
  "state": "optimized geometry",
  "volume_a3_per_fu": 193,
  "delta_e_f_mev_per_atom": -1238.9,
  "dft_energy_ev_per_atom": -6.291,
  "sg": "No. 14",
  "lattice": [[18.7166, 0.0000, 0.0000], [0.0000, 8.6337, 0.0000], [0.0000, 0.0845, 9.5610]],
  "species": ["Na", "Na", "Na", "Na", "Na", "Na", "Na", "Na", "Si", "Si", "Si", "Si", "Si", "Si", "Si", "Si", "Si", "Si", "Si", "Si", "Si", "Si", "Si", "Si", "W", "W", "W", "W", "W", "W", "W", "W", "W", "W", "W", "W", "W", "W", "W", "W", "O", "O", "O", "O", "O", "O", "O", "O", "O", "O", "O", "O", "O", "O", "O", "O", "O", "O", "O", "O", "O", "O", "O", "O", "O", "O", "O", "O", "O", "O", "O", "O", "O", "O", "O", "O", "O", "O", "O", "O"],
  "frac_coords": [[0.0000, 0.5000, 0.0000], [0.5000, 0.5000, 0.5000], [0.5411, 0.3006, 0.1384], [0.4589, 0.6994, 0.8616], [0.0411, 0.6994, 0.3616], [0.9589, 0.3006, 0.6384], [0.0000, 0.0000, 0.0000], [0.5000, 0.0000, 0.5000], [0.2060, 0.1765, 0.3198], [0.7940, 0.8235, 0.6802], [0.7060, 0.8235, 0.1802], [0.2940, 0.1765, 0.8198], [0.3323, 0.3072, 0.1248], [0.6677, 0.6928, 0.8752], [0.8323, 0.6928, 0.3752], [0.1677, 0.3072, 0.6248], [0.7169, 0.1970, 0.1728], [0.2831, 0.8030, 0.8272], [0.2169, 0.8030, 0.3272], [0.7831, 0.1970, 0.6728], [0.3318, 0.6813, 0.1203], [0.6682, 0.3187, 0.8797], [0.8318, 0.3187, 0.3797], [0.1682, 0.6813, 0.6203], [0.6188, 0.2424, 0.4677], [0.3812, 0.7576, 0.5323], [0.1188, 0.7576, 0.0323], [0.8812, 0.2424, 0.9677], [0.3640, 0.2256, 0.4996], [0.6360, 0.7744, 0.5004], [0.8640, 0.7744, 0.0004], [0.1360, 0.2256, 0.9996], [0.9271, 0.0016, 0.3455], [0.0729, 0.9984, 0.6545], [0.4271, 0.9984, 0.1545], [0.5729, 0.0016, 0.8455], [0.0255, 0.2603, 0.2959], [0.9745, 0.7397, 0.7041], [0.5255, 0.7397, 0.2041], [0.4745, 0.2603, 0.7959], [0.2014, 0.2426, 0.4788], [0.7986, 0.7574, 0.5212], [0.7014, 0.7574, 0.0212], [0.2986, 0.2426, 0.9788], [0.2778, 0.2582, 0.2526], [0.7222, 0.7418, 0.7474], [0.7778, 0.7418, 0.2474], [0.2222, 0.2582, 0.7526], [0.2936, 0.7395, 0.2642], [0.7064, 0.2605, 0.7358], [0.7936, 0.2605, 0.2358], [0.2064, 0.7395, 0.7642], [0.7183, 0.2569, 0.0088], [0.2817, 0.7431, 0.9912], [0.2183, 0.7431, 0.4912], [0.7817, 0.2569, 0.5088], [0.1347, 0.2218, 0.2299], [0.8653, 0.7782, 0.7701], [0.6347, 0.7782, 0.2701], [0.3653, 0.2218, 0.7299], [0.2217, 0.9920, 0.3286], [0.7783, 0.0080, 0.6714], [0.7217, 0.0080, 0.1714], [0.2783, 0.9920, 0.8286], [0.4105, 0.2337, 0.1549], [0.5895, 0.7663, 0.8451], [0.9105, 0.7663, 0.3451], [0.0895, 0.2337, 0.6549], [0.1472, 0.7406, 0.2485], [0.8528, 0.2594, 0.7515], [0.6472, 0.2594, 0.2515], [0.3528, 0.7406, 0.7485], [0.3369, 0.4943, 0.1166], [0.6631, 0.5057, 0.8834], [0.8369, 0.5057, 0.3834], [0.1631, 0.4943, 0.6166], [0.4131, 0.7522, 0.1071], [0.5869, 0.2478, 0.8929], [0.9131, 0.2478, 0.3929], [0.0869, 0.7522, 0.6071]]
}